# 1
Density functional theory data (meta-GGA r2SCAN) for a relaxed SiS2 crystal.

- E_form (eV per atom) = -0.75
- size of the total moment (μB/f.u.) = 0.000

Cell: 5.8796 6.4240 7.9469 Å, 90.00 90.00 104.07°
Sites, in units of the cell vectors:
Si: 0.6126 0.1166 0.3645
Si: 0.8874 0.8834 0.8645
Si: 0.3874 0.8834 0.6355
Si: 0.1126 0.1166 0.1355
S: 0.5144 0.2214 0.6032
S: 0.9856 0.7786 0.1032
S: 0.4856 0.7786 0.3968
S: 0.0144 0.2214 0.8968
S: 0.4842 0.2423 0.1464
S: 0.0158 0.7577 0.6464
S: 0.5158 0.7577 0.8536
S: 0.9842 0.2423 0.3536

=====

# 2
Density functional theory data (meta-GGA r2SCAN) for a relaxed SiS2 crystal.

- E_form (eV per atom) = -0.73
- size of the total moment (μB/f.u.) = 0.000

Cell: 5.5592 5.5592 5.8534 Å, 118.35 118.35 90.00°
Sites, in units of the cell vectors:
Si: 0.0000 0.0000 0.0000
Si: 0.2500 0.7500 0.5000
S: 0.3420 0.3750 0.2500
S: 0.1250 0.6580 0.7500
S: 0.6250 0.0920 0.7500
S: 0.9080 0.8750 0.2500